The following is a PBE calculation of a relaxed structure of EuAl9Co2, from the Materials Project.

The structure in extended XYZ format:
```
12
Lattice="0.6984 -3.1443 -2.2004 7.1816 2.7956 -1.7154 -1.0276 -4.6401 6.3044" Properties=species:S:1:pos:R:3 pbc="T T T"
Eu 0.0000 0.0000 0.0000
Al 3.1918 -1.3694 -0.4877
Al 1.0714 -4.6273 3.4948
Al 1.4419 -2.9544 1.2218
Al -0.5138 -2.3201 3.1522
Al 3.0770 -0.9223 2.2945
Al 3.5908 1.3978 -0.8577
Al 3.6606 -3.6194 2.8763
Al 5.7809 -0.3615 -1.1061
Al 5.4104 -2.0344 1.1668
Co 4.4452 0.3170 0.9579
Co 1.7088 -2.1615 3.6312
```

Summary:
Mass density, g/cm³: 4.04
Formation enthalpy at 0 K, eV per atom: -0.409